[1]
DFT (PBE+U) results for an optimized crystal structure of FeP4O12.

a b c (Å): 8.5309 8.5309 9.5982
angles (deg): 118.90 118.90 51.47
With the nearest neighbours (Å) after each atom.
Atoms (fractional coordinates):
Fe (0.1354, 0.8646, 0.7500)  6 O 1.99-2.06
Fe (0.8646, 0.1354, 0.2500)  6 O 1.99-2.06
P (0.0343, 0.6985, 0.3348)  4 O 1.49-1.60
P (0.2967, 0.4360, 0.8549)  4 O 1.49-1.61
P (0.3015, 0.9657, 0.1652)  4 O 1.49-1.60
P (0.4360, 0.2967, 0.3549)  4 O 1.49-1.61
P (0.5640, 0.7033, 0.6451)  4 O 1.49-1.61
P (0.6985, 0.0343, 0.8348)  4 O 1.49-1.60
P (0.7033, 0.5640, 0.1451)  4 O 1.49-1.61
P (0.9657, 0.3015, 0.6652)  4 O 1.49-1.60
O (0.0050, 0.8651, 0.2949)  1 P 1.49
O (0.0421, 0.7362, 0.5077)  1 P 1.50
O (0.1349, 0.9950, 0.2051)  1 P 1.49
O (0.1474, 0.3492, 0.7945)  2 P 1.60
O (0.1981, 0.6008, 0.7721)  1 P 1.51
O (0.2315, 0.4853, 0.2782)  2 P 1.60-1.61
O (0.2638, 0.9579, 0.9923)  1 P 1.50
O (0.3492, 0.1474, 0.2945)  2 P 1.60
O (0.3550, 0.4979, 0.0392)  1 P 1.49
O (0.3992, 0.8019, 0.7279)  1 P 1.51
O (0.4853, 0.2315, 0.7782)  2 P 1.60-1.61
O (0.4979, 0.3550, 0.5392)  1 P 1.49
O (0.5021, 0.6450, 0.4608)  1 P 1.49
O (0.5147, 0.7685, 0.2218)  2 P 1.60-1.61
O (0.6008, 0.1981, 0.2721)  1 P 1.51
O (0.6450, 0.5021, 0.9608)  1 P 1.49
O (0.6508, 0.8526, 0.7055)  2 P 1.60
O (0.7362, 0.0421, 0.0077)  1 P 1.50
O (0.7685, 0.5147, 0.7218)  2 P 1.60-1.61
O (0.8019, 0.3992, 0.2279)  1 P 1.51
O (0.8526, 0.6508, 0.2055)  2 P 1.60
O (0.8651, 0.0050, 0.7949)  1 P 1.49
O (0.9579, 0.2638, 0.4923)  1 P 1.50
O (0.9950, 0.1349, 0.7051)  1 P 1.49

Calculated formation energy (meV per atom): -2318
ΔE to the lowest computed polymorph (meV per atom): 33
Calculated volume (Å³ per atom): 13.6
Total magnetization (μB/atom): 0.24
Final energy (eV per atom): -6.965


[2]
DFT (PBE+U) results for an optimized crystal structure of Li2V3O6.

a b c (Å): 6.0058 6.5882 6.7985
angles (deg): 83.38 115.88 76.76
With the nearest neighbours (Å) after each atom.
Atoms (fractional coordinates):
Li (0.9866, 0.0127, 0.9810)  3 O 2.02-2.11
Li (0.4865, 0.0128, 0.9809)  3 O 2.02-2.11
Li (0.5129, 0.6543, 0.3520)  3 O 2.02-2.11
Li (0.0130, 0.6543, 0.3521)  3 O 2.02-2.11
V (0.7503, 0.3331, 0.1668)  6 O 1.92-2.00
V (0.7535, 0.0146, 0.5156)  6 O 2.01-2.14
V (0.7465, 0.6520, 0.8178)  6 O 2.01-2.14
V (0.2503, 0.3332, 0.1668)  6 O 1.92-2.00
V (0.2536, 0.0146, 0.5155)  6 O 2.00-2.14
V (0.2464, 0.6521, 0.8179)  6 O 2.01-2.14
O (0.8757, 0.0253, 0.2658)  3 V 1.92-2.14
O (0.3758, 0.0253, 0.2657)  3 V 1.92-2.14
O (0.6244, 0.6411, 0.0676)  3 V 1.92-2.14
O (0.1244, 0.6412, 0.0676)  3 V 1.92-2.14
O (0.8938, 0.3335, 0.9523)  3 V 1.99-2.01, 1 Li 2.02
O (0.3937, 0.3336, 0.9523)  3 V 1.99-2.01, 1 Li 2.02
O (0.6065, 0.3331, 0.3811)  3 V 1.99-2.01, 1 Li 2.02
O (0.1065, 0.3330, 0.3811)  3 V 1.99-2.00, 1 Li 2.02
O (0.8681, 0.6905, 0.5831)  3 V 2.02-2.06, 2 Li 2.11
O (0.3681, 0.6905, 0.5831)  3 V 2.02-2.06, 2 Li 2.11
O (0.6317, 0.9763, 0.7503)  3 V 2.02-2.06, 2 Li 2.11
O (0.1317, 0.9763, 0.7503)  3 V 2.02-2.06, 2 Li 2.11

Calculated formation energy (meV per atom): -2471
ΔE to the lowest computed polymorph (meV per atom): 0
Calculated volume (Å³ per atom): 10.4
Total magnetization (μB/atom): 0.00
Final energy (eV per atom): -7.156


[3]
DFT (PBE+U) results for an optimized crystal structure of SrLaMnFeO6.

a b c (Å): 7.8433 11.0696 5.5345
angles (deg): 90.00 90.45 90.00
With the nearest neighbours (Å) after each atom.
Atoms (fractional coordinates):
Sr (0.0000, 0.1188, 0.2500)  9 O 2.58-2.86
Sr (0.0000, 0.8812, 0.7500)  9 O 2.58-2.86
Sr (0.5000, 0.1210, 0.2500)  9 O 2.57-2.85
Sr (0.5000, 0.8790, 0.7500)  9 O 2.57-2.85
La (0.0000, 0.3687, 0.7500)  7 O 2.49-2.79
La (0.0000, 0.6313, 0.2500)  7 O 2.49-2.79
La (0.5000, 0.3735, 0.7500)  7 O 2.48-2.77
La (0.5000, 0.6265, 0.2500)  7 O 2.48-2.77
Mn (0.2491, 0.1234, 0.7523)  6 O 1.94-1.99
Mn (0.2491, 0.8766, 0.2523)  6 O 1.94-1.99
Mn (0.7509, 0.1234, 0.7477)  6 O 1.94-1.99
Mn (0.7509, 0.8766, 0.2477)  6 O 1.94-1.99
Fe (0.2508, 0.3726, 0.2480)  6 O 1.96-2.00
Fe (0.2508, 0.6274, 0.7480)  6 O 1.96-2.00
Fe (0.7492, 0.3726, 0.2520)  6 O 1.96-2.00
Fe (0.7492, 0.6274, 0.7520)  6 O 1.96-2.00
O (0.0000, 0.1144, 0.7500)  2 Mn 1.96
O (0.0000, 0.3997, 0.2500)  2 Fe 1.99
O (0.0000, 0.6003, 0.7500)  2 Fe 1.99
O (0.0000, 0.8856, 0.2500)  2 Mn 1.96
O (0.2290, 0.2433, 0.0059)  1 Mn 1.94, 1 Fe 1.97
O (0.2290, 0.7567, 0.5059)  1 Mn 1.94, 1 Fe 1.97
O (0.2319, 0.2621, 0.5305)  1 Mn 1.97, 1 Fe 1.99
O (0.2319, 0.7379, 0.0305)  1 Mn 1.97, 1 Fe 1.99
O (0.2669, 0.0089, 0.4829)  2 Mn 1.95-1.96
O (0.2669, 0.9911, 0.9829)  2 Mn 1.95-1.96
O (0.2741, 0.4881, 0.9723)  2 Fe 1.99-2.00
O (0.2741, 0.5119, 0.4723)  2 Fe 1.99-2.00
O (0.5000, 0.1495, 0.7500)  2 Mn 1.99
O (0.5000, 0.3566, 0.2500)  2 Fe 1.96
O (0.5000, 0.6434, 0.7500)  2 Fe 1.96
O (0.5000, 0.8505, 0.2500)  2 Mn 1.99
O (0.7259, 0.4881, 0.5277)  2 Fe 1.99-2.00
O (0.7259, 0.5119, 0.0277)  2 Fe 1.99-2.00
O (0.7331, 0.0089, 0.0171)  2 Mn 1.95-1.96
O (0.7331, 0.9911, 0.5171)  2 Mn 1.95-1.96
O (0.7681, 0.2621, 0.9695)  1 Mn 1.97, 1 Fe 1.99
O (0.7681, 0.7379, 0.4695)  1 Mn 1.97, 1 Fe 1.99
O (0.7710, 0.2433, 0.4941)  1 Mn 1.94, 1 Fe 1.97
O (0.7710, 0.7567, 0.9941)  1 Mn 1.94, 1 Fe 1.97

Calculated formation energy (meV per atom): -2661
ΔE to the lowest computed polymorph (meV per atom): 30
Calculated volume (Å³ per atom): 12.0
Total magnetization (μB/atom): 0.80
Final energy (eV per atom): -7.251


[4]
DFT (PBE+U) results for an optimized crystal structure of Li4Cr3Fe5O16.

a b c (Å): 5.7523 5.7523 9.5140
angles (deg): 90.83 90.83 59.49
With the nearest neighbours (Å) after each atom.
Atoms (fractional coordinates):
Li (0.0000, 0.0000, 0.0000)  4 O 1.78-1.93
Li (0.0010, 0.0010, 0.4969)  4 O 1.78-1.95
Li (0.3299, 0.3299, 0.3945)  4 O 1.92-2.02
Li (0.6662, 0.6662, 0.8965)  4 O 1.91-2.01
Cr (0.1723, 0.6548, 0.7168)  6 O 1.90-2.00
Cr (0.6548, 0.1723, 0.7168)  6 O 1.90-2.00
Cr (0.8291, 0.8291, 0.2175)  6 O 1.91-1.99
Fe (0.1666, 0.1666, 0.7169)  6 O 1.91-1.93
Fe (0.3294, 0.3294, 0.9976)  5 O 1.96-2.09
Fe (0.3431, 0.8228, 0.2172)  6 O 1.90-1.96
Fe (0.6636, 0.6636, 0.4957)  6 O 1.99-2.15
Fe (0.8228, 0.3431, 0.2172)  6 O 1.90-1.96
O (0.0001, 0.0001, 0.8129)  1 Li 1.78, 1 Fe 1.91, 2 Cr 1.93
O (0.0050, 0.0050, 0.3101)  1 Li 1.78, 2 Fe 1.90, 1 Cr 1.95
O (0.0391, 0.4762, 0.8374)  2 Fe 1.91-2.09, 1 Li 1.94, 1 Cr 1.95
O (0.1593, 0.1593, 0.1112)  1 Li 1.90, 3 Fe 1.96-2.03
O (0.1658, 0.6691, 0.1049)  1 Li 1.93, 2 Fe 1.95-1.96, 1 Cr 1.99
O (0.3249, 0.8394, 0.6065)  1 Li 1.91, 2 Fe 1.93-1.99, 1 Cr 2.00
O (0.3261, 0.3261, 0.6064)  1 Fe 1.92, 2 Cr 1.93, 1 Li 2.02
O (0.4762, 0.0391, 0.8374)  2 Fe 1.91-2.09, 1 Li 1.94, 1 Cr 1.95
O (0.4832, 0.4832, 0.8344)  2 Cr 1.90, 1 Li 1.91
O (0.5171, 0.5171, 0.3421)  3 Fe 1.94-2.05, 1 Li 1.94
O (0.5177, 0.9606, 0.3328)  1 Fe 1.90, 1 Cr 1.91, 1 Li 1.92
O (0.6614, 0.6614, 0.1071)  2 Fe 1.90, 1 Cr 1.96, 1 Li 2.01
O (0.6691, 0.1658, 0.1049)  1 Li 1.93, 2 Fe 1.95-1.96, 1 Cr 1.99
O (0.8377, 0.8377, 0.6059)  1 Li 1.95, 2 Cr 1.96, 1 Fe 2.02
O (0.8394, 0.3249, 0.6065)  1 Li 1.91, 2 Fe 1.93-1.99, 1 Cr 2.00
O (0.9606, 0.5177, 0.3328)  1 Fe 1.90, 1 Cr 1.91, 1 Li 1.92

Calculated formation energy (meV per atom): -1839
ΔE to the lowest computed polymorph (meV per atom): 55
Calculated volume (Å³ per atom): 9.7
Total magnetization (μB/atom): 1.07
Final energy (eV per atom): -6.476